No. 1
A plane-wave DFT calculation with GGA+U was carried out for crystalline Sr2NbCoO6 at its relaxed geometry.

Lattice parameters (Å, degrees): 5.6413 5.6609 18.7181 89.71 80.70 59.61
Positions (direct):
O 0.2279 0.3647 0.6270
Co 0.8797 0.0602 0.1859
O 0.2460 0.6322 0.8766
O 0.7206 0.3999 0.1258
Sr 0.9962 0.0078 0.9983
Sr 0.2449 0.8703 0.6273
O 0.7408 0.1397 0.8759
O 0.4964 0.5030 0.9967
Sr 0.9992 0.4931 0.5013
O 0.7432 0.8463 0.6249
O 0.2613 0.1299 0.3770
O 0.0440 0.7246 0.2444
O 0.2509 0.1390 0.8772
Sr 0.2520 0.3777 0.1215
O 0.0095 0.7720 0.7485
Co 0.3730 0.3204 0.9371
O 0.7252 0.8884 0.1245
O 0.4906 0.4792 0.5012
O 0.5437 0.2269 0.2541
O 0.5003 0.0115 0.9956
O 0.5099 0.7599 0.7521
O 0.9988 0.2747 0.7537
Nb 0.1350 0.4304 0.3116
Nb 0.6231 0.6935 0.0590
Co 0.8703 0.5620 0.6892
Nb 0.1223 0.9485 0.8146
Nb 0.6176 0.1780 0.5648
Sr 0.5071 0.7448 0.2484
Sr 0.7540 0.1181 0.3762
O 0.2220 0.8990 0.1174
O 0.2730 0.6272 0.3731
O 0.0063 0.5006 0.9992
Co 0.3748 0.8072 0.4379
O 0.9821 0.9850 0.4993
O 0.7678 0.6277 0.3745
Sr 0.4944 0.2562 0.7532
O 0.7338 0.3511 0.6296
Sr 0.7467 0.6351 0.8745
O 0.0361 0.2349 0.2476
O 0.4794 0.9794 0.5035

Summary:
- Calculated total energy: -7.23 eV/atom
- Density: 5.55 g/cm3

No. 2
A plane-wave DFT calculation with GGA+U was carried out for crystalline Sr2NbCoO6 at its relaxed geometry.

Lattice parameters (Å, degrees): 5.6784 9.8197 9.7842 80.08 90.00 73.19
Positions (direct):
O 0.8748 0.7505 0.1241
Sr 0.7496 0.5021 0.2498
Sr 0.2520 0.5002 0.7496
O 0.7612 0.9996 0.7494
Sr 0.1255 0.7508 0.3713
O 0.9974 0.4970 0.9994
O 0.8730 0.2458 0.1292
O 0.6173 0.2453 0.8748
O 0.7504 0.9995 0.2511
O 0.2524 0.9996 0.2515
Co 0.1887 0.6243 0.0642
Co 0.9381 0.1257 0.3108
O 0.6255 0.7508 0.3747
O 0.2624 0.9996 0.7499
O 0.7447 0.4969 0.7506
O 0.9877 0.5047 0.4998
O 0.3873 0.7505 0.6255
Co 0.4373 0.1256 0.8142
Nb 0.5637 0.8750 0.1875
Sr 0.4995 0.9981 0.4968
O 0.0050 0.0040 0.4981
Sr 0.0013 0.9992 0.0036
Sr 0.8771 0.2498 0.6254
O 0.1339 0.7461 0.8771
O 0.3771 0.7502 0.1240
O 0.5008 0.9992 0.0005
Sr 0.6226 0.7519 0.8781
O 0.1191 0.2561 0.3736
Nb 0.3141 0.3734 0.4381
O 0.8864 0.7501 0.6258
Nb 0.0627 0.8750 0.6875
O 0.1163 0.2462 0.8760
O 0.2444 0.5040 0.2455
Co 0.6880 0.6244 0.5608
O 0.3667 0.2530 0.6241
O 0.4998 0.4938 0.0011
O 0.6197 0.2532 0.3755
Nb 0.8124 0.3767 0.9368
O 0.4873 0.5041 0.4989
Sr 0.3767 0.2479 0.1254

Summary:
- Calculated total energy: -7.23 eV/atom
- Density: 5.47 g/cm3

No. 3
A plane-wave DFT calculation with GGA+U was carried out for crystalline Sr2NbCoO6 at its relaxed geometry.

Lattice parameters (Å, degrees): 5.6854 11.3624 7.9703 90.00 90.01 90.00
Positions (direct):
Nb 0.5014 0.5003 0.2499
O 0.4919 0.0000 0.0011
Sr 0.0033 0.0020 0.9996
Co 0.5017 0.4992 0.7499
Sr 0.9998 0.4985 0.0007
O 0.7397 0.1213 0.7502
Sr 0.0033 0.0020 0.5004
O 0.7403 0.1265 0.2499
O 0.7557 0.3743 0.2501
O 0.5034 0.5006 0.5054
O 0.2568 0.6240 0.2499
Co 0.0020 0.2482 0.2500
O 0.9911 0.2499 0.5010
O 0.9913 0.2500 0.9990
O 0.0039 0.7495 0.0054
Sr 0.5035 0.2480 0.4996
O 0.4921 0.0001 0.4990
Co 0.5019 0.0017 0.7500
Sr 0.5035 0.2480 0.0004
O 0.2565 0.3758 0.2501
Nb 0.0016 0.2514 0.7500
O 0.2455 0.3748 0.7500
O 0.2568 0.8755 0.7499
Sr 0.4998 0.7514 0.5005
O 0.0044 0.7494 0.4947
Sr 0.9998 0.4985 0.4992
O 0.2538 0.6279 0.7502
Co 0.0019 0.7508 0.2499
Nb 0.0017 0.7496 0.7499
O 0.7578 0.6257 0.7500
O 0.7466 0.8754 0.2501
O 0.5039 0.5005 0.9947
Sr 0.4998 0.7514 0.9994
O 0.7449 0.3720 0.7500
O 0.2397 0.1235 0.7500
O 0.2407 0.1290 0.2500
O 0.2458 0.8778 0.2501
O 0.7576 0.8744 0.7500
O 0.7529 0.6224 0.2501
Nb 0.5020 0.9986 0.2500

Summary:
- Calculated total energy: -7.23 eV/atom
- Density: 5.46 g/cm3

No. 4
A plane-wave DFT calculation with GGA+U was carried out for crystalline Sr2NbCoO6 at its relaxed geometry.

Lattice parameters (Å, degrees): 5.6353 5.6361 9.7249 74.67 74.67 61.02
Positions (direct):
Sr 0.7501 0.7501 0.7496
Nb 0.6250 0.6250 0.1252
O 0.0015 0.4950 0.5013
O 0.4961 0.4961 0.9972
O 0.7543 0.2480 0.7481
O 0.2539 0.2538 0.7528
O 0.7532 0.7532 0.2540
O 0.2550 0.7485 0.2487
Co 0.8750 0.8750 0.3750
Sr 0.2498 0.2498 0.2505
Sr 0.9999 0.9999 0.0005
Co 0.3750 0.3750 0.8750
O 0.9968 0.9968 0.4960
Sr 0.5002 0.5002 0.4995
O 0.2480 0.7544 0.7481
Nb 0.1250 0.1250 0.6248
O 0.7485 0.2550 0.2487
O 0.5020 0.9956 0.0019
O 0.4950 0.0015 0.5013
O 0.9956 0.5020 0.0019

Summary:
- Calculated total energy: -7.23 eV/atom
- Density: 5.46 g/cm3

No. 5
A plane-wave DFT calculation with GGA+U was carried out for crystalline Nb2Zn2CoO8 at its relaxed geometry.

Lattice parameters (Å, degrees): 10.1390 10.1390 5.2852 89.71 89.71 34.20
Positions (direct):
O 0.3199 0.5661 0.4134
O 0.0731 0.2847 0.4372
O 0.7153 0.9269 0.0628
O 0.0492 0.8114 0.9260
O 0.4536 0.1598 0.6355
O 0.8114 0.0492 0.4260
O 0.8402 0.5464 0.8645
O 0.2847 0.0731 0.9372
Co 0.6458 0.3542 0.2500
Nb 0.7222 0.0496 0.7663
O 0.1598 0.4536 0.1355
O 0.5661 0.3199 0.9134
O 0.1886 0.9508 0.5740
O 0.4339 0.6801 0.0866
Zn 0.1264 0.4325 0.7631
O 0.6801 0.4339 0.5866
O 0.9508 0.1886 0.0740
Zn 0.5675 0.8736 0.7369
Nb 0.0496 0.7222 0.2663
Zn 0.8736 0.5675 0.2369
Nb 0.9504 0.2778 0.7337
O 0.9269 0.7153 0.5628
Co 0.3542 0.6458 0.7500
Zn 0.4325 0.1264 0.2631
Nb 0.2778 0.9504 0.2337
O 0.5464 0.8402 0.3645

Summary:
- Calculated total energy: -7.17 eV/atom
- Density: 5.48 g/cm3

Number 1: total energy after the MP2020 corrections -7.804 eV/atom. Number 2: total energy after the MP2020 corrections -7.806 eV/atom. Number 3: total energy after the MP2020 corrections -7.806 eV/atom. Number 4: total energy after the MP2020 corrections -7.808 eV/atom. Number 5: total energy after the MP2020 corrections -7.716 eV/atom.